TbGe2Ru2 | GGA-PBE | optimized geometry

POSCAR file:
```
TbGe2Ru2
1.0
-3.827 0.821 -1.706
0.428 -3.372 -2.584
-0.444 -1.614 5.561
Tb Ge Ru
1 2 2
direct
0.000 0.000 0.000
0.370 0.370 0.740
0.630 0.630 0.260
0.250 0.750 0.500
0.750 0.250 0.500
```

Its space group is No. 139. As for the formation energy from the elements: -657 meV/atom.